# GGA+U HfMg6CrO8, optimized geometry
# magnetization: 0.22 μB per atom
# formation energy: -2.724 eV/atom
# total energy after the MP2020 corrections: -7.02 eV per atom
# energy above the most stable polymorph in this dataset: 0 meV per atom
data_HfMg6CrO8
_chemical_formula_sum 'Hf1 Mg6 Cr1 O8'
_space_group_name_H-M_alt 'P 4/m m m'
_space_group_IT_number 123
_space_group_name_Hall '-P 4 2'
_cell_length_a 4.3139
_cell_length_b 4.3139
_cell_length_c 9.0809
_cell_angle_alpha 90.00
_cell_angle_beta 90.00
_cell_angle_gamma 90.00
loop_
_atom_site_label
_atom_site_type_symbol
_atom_site_fract_x
_atom_site_fract_y
_atom_site_fract_z
Hf1 Hf 0.0000 0.0000 0.0000
Mg1 Mg 0.0000 0.0000 0.5000
Mg2 Mg 0.0000 0.5000 0.2635
Mg3 Mg 0.5000 0.5000 0.5000
Cr1 Cr 0.5000 0.5000 0.0000
O1 O 0.0000 0.0000 0.2518
O2 O 0.0000 0.5000 0.0000
O3 O 0.0000 0.5000 0.5000
O4 O 0.5000 0.5000 0.2734

---

# GGA+U HfMg6CrO8, optimized geometry
# magnetization: 0.29 μB per atom
# formation energy: -2.691 eV/atom
# total energy after the MP2020 corrections: -6.99 eV per atom
# energy above the most stable polymorph in this dataset: 32 meV per atom
data_HfMg6CrO8
_chemical_formula_sum 'Hf1 Mg6 Cr1 O8'
_space_group_name_H-M_alt 'P 4/m m m'
_space_group_IT_number 123
_space_group_name_Hall '-P 4 2'
_cell_length_a 4.3614
_cell_length_b 4.3614
_cell_length_c 9.0918
_cell_angle_alpha 90.00
_cell_angle_beta 90.00
_cell_angle_gamma 90.00
loop_
_atom_site_label
_atom_site_type_symbol
_atom_site_fract_x
_atom_site_fract_y
_atom_site_fract_z
Hf1 Hf 0.0000 0.0000 0.0000
Mg1 Mg 0.0000 0.5000 0.2659
Mg2 Mg 0.5000 0.5000 0.0000
Mg3 Mg 0.5000 0.5000 0.5000
Cr1 Cr 0.0000 0.0000 0.5000
O1 O 0.0000 0.0000 0.2284
O2 O 0.0000 0.5000 0.0000
O3 O 0.0000 0.5000 0.5000
O4 O 0.5000 0.5000 0.2527

---

# GGA+U HfMg14CrO16, optimized geometry
# magnetization: 0.16 μB per atom
# formation energy: -2.863 eV/atom
# total energy after the MP2020 corrections: -6.65 eV per atom
# energy above the most stable polymorph in this dataset: 3 meV per atom
data_HfMg14CrO16
_chemical_formula_sum 'Hf1 Mg14 Cr1 O16'
_space_group_name_H-M_alt 'P 4/m m m'
_space_group_IT_number 123
_space_group_name_Hall '-P 4 2'
_cell_length_a 8.6984
_cell_length_b 8.6984
_cell_length_c 4.2993
_cell_angle_alpha 90.00
_cell_angle_beta 90.00
_cell_angle_gamma 90.00
loop_
_atom_site_label
_atom_site_type_symbol
_atom_site_fract_x
_atom_site_fract_y
_atom_site_fract_z
Hf1 Hf 0.0000 0.0000 0.0000
Mg1 Mg 0.0000 0.2596 0.5000
Mg2 Mg 0.0000 0.5000 0.0000
Mg3 Mg 0.2515 0.5000 0.5000
Mg4 Mg 0.2578 0.2578 0.0000
Cr1 Cr 0.5000 0.5000 0.0000
O1 O 0.0000 0.0000 0.5000
O2 O 0.0000 0.2480 0.0000
O3 O 0.0000 0.5000 0.5000
O4 O 0.2332 0.5000 0.0000
O5 O 0.2491 0.2491 0.5000
O6 O 0.5000 0.5000 0.5000